Below is a geometry-optimized NaCoF4 structure, with properties calculated at the PBE with a Hubbard U level.

Results
SG: Pbcn

extended XYZ file:
```
24
Lattice="-1.0608 4.0747 -2.7250 -5.4124 -0.2752 1.6956 2.3782 6.3895 8.6285" Properties=species:S:1:pos:R:3 pbc="T T T"
Na 0.0000 0.0000 0.0000
Na -2.0475 5.0945 3.7995
Na 1.1891 3.1948 4.3142
Na -3.2366 1.8997 -0.5147
Co -1.2712 1.5025 2.7416
Co -1.7630 4.6118 7.5824
Co 0.4128 6.7867 5.3722
Co -4.5079 3.4023 2.2269
F -1.6909 1.2110 0.9876
F -2.4041 8.9780 6.6115
F 0.1248 5.1767 4.5583
F -1.7035 5.8793 1.7052
F -4.2198 5.0123 3.0408
F -2.3915 4.3097 5.8938
F 0.4920 8.3862 6.2514
F -4.5870 1.8028 1.3476
F 0.0239 2.9880 2.1769
F -4.1189 7.2010 5.4222
F -0.5795 6.1148 7.0355
F -0.8153 4.2346 -0.2995
F -3.5156 4.0742 0.5635
F -3.2797 5.9544 7.8986
F -1.4067 7.3157 4.5897
F -2.6883 2.8733 3.0094
```

***

Below is a geometry-optimized MnV4O12 structure, with properties calculated at the PBE with a Hubbard U level.

Results
Relative energy among the computed polymorphs, kJ/mol of atoms: 0.0

extended XYZ file:
```
34
Lattice="-1.4358 7.4735 -1.3109 0.4408 4.0502 6.5605 8.9791 -2.7230 -3.3241" Properties=species:S:1:pos:R:3 pbc="T T T"
Mn 4.8385 5.7774 0.5688
Mn 0.8449 1.3752 -0.3931
V 4.2148 8.7429 1.9213
V 0.2233 4.3423 0.9592
V 0.4430 9.9935 3.3644
V 5.4303 2.8706 -0.9218
V 2.5140 6.0862 2.9078
V 7.5005 -1.0365 -1.3792
V 7.7946 4.3147 0.8786
V 3.8029 -0.0851 -0.0843
O 5.2245 7.5021 1.2429
O 1.2324 3.1009 0.2806
O 0.9077 3.6893 5.5176
O 4.4594 4.0401 -0.0803
O 5.0201 2.1055 1.9943
O -0.4071 5.1788 -0.2788
O 1.8388 2.9065 3.1012
O 5.3911 3.2569 -2.4965
O 3.8827 5.3317 2.2112
O 8.8696 -1.7917 -2.0751
O 6.4099 5.0983 1.5072
O 2.4179 0.6980 0.5448
O 2.8247 7.8253 2.6928
O 7.8114 0.7021 -1.5939
O 2.1545 10.3259 3.9397
O 7.1419 3.2018 -0.3467
O 1.0638 5.5810 2.0459
O 6.0506 -1.5421 -2.2416
O -0.1116 8.2324 3.4791
O 4.8760 1.1092 -0.8076
O 2.3656 5.7474 4.6025
O 5.9167 6.0981 -0.9957
O 8.6342 3.3918 2.0841
O 3.2064 6.4650 -0.1901
```

***

Below is a geometry-optimized Zn2MoW2O8 structure, with properties calculated at the PBE with a Hubbard U level.

Results
SG: P1

extended XYZ file:
```
26
Lattice="6.3034 0.0000 0.0000 3.1295 5.5118 0.0000 0.0454 0.0466 9.4879" Properties=species:S:1:pos:R:3 pbc="T T T"
Zn 3.1504 1.8609 0.3479
Zn 6.2822 3.7300 5.1206
Zn 3.1556 1.8618 3.9453
Zn 6.3655 3.6985 8.6845
Mo 3.1788 3.7330 7.0373
Mo 1.6067 0.9486 7.0706
W 4.8054 0.9305 7.0500
W 6.3080 1.8240 2.3067
W 7.8945 4.6237 2.3084
W 4.6976 4.6231 2.3062
O 9.3983 5.5461 8.1037
O 6.3176 0.0217 3.3679
O 3.3128 0.2038 8.2128
O 4.6078 2.6711 8.2297
O 1.7778 2.7458 8.2396
O 6.2939 5.3510 3.4839
O 4.8811 2.8628 3.4585
O 7.7087 2.8740 3.5049
O 3.2575 1.8462 5.9572
O 6.2954 3.6849 1.1986
O 3.1435 3.7010 1.3590
O 1.5747 0.9224 1.3521
O 4.7514 0.9147 1.3506
O 6.1707 1.8586 6.0844
O 7.8949 4.6474 6.1091
O 4.6852 4.5682 6.0808
```

***

Below is a geometry-optimized Co3O2F4 structure, with properties calculated at the PBE with a Hubbard U level.

Results
SG: C2
Relative energy among the computed polymorphs, kJ/mol of atoms: 6.3

extended XYZ file:
```
18
Lattice="-0.5697 -4.5154 3.2987 5.0409 -2.0606 1.3920 1.6043 1.8500 7.1025" Properties=species:S:1:pos:R:3 pbc="T T T"
Co 4.2138 -2.8238 9.0831
Co 3.6325 -3.7159 5.4778
Co 2.6652 -0.9129 6.2400
Co 1.6957 -1.9748 2.7665
Co 5.7417 -1.1800 4.9777
Co 4.9787 -2.0879 1.4131
O 5.3560 -3.0501 4.8658
O 4.3432 -0.0905 5.6959
O 0.9866 -3.8345 2.7698
O 3.2784 -2.8318 1.9910
F 1.8792 -4.5007 6.0744
F 0.8996 -1.6677 6.8392
F 3.5740 -2.5329 7.1314
F 4.5402 -5.4046 6.4235
F 2.5490 0.2375 7.9347
F 2.5662 -2.1648 4.6398
F 3.4598 -4.9927 3.8812
F 1.5241 0.6736 5.3736
```

***

Below is a geometry-optimized Li2CoP4O12 structure, with properties calculated at the PBE with a Hubbard U level.

Results
SG: C2/c
Relative energy among the computed polymorphs, kJ/mol of atoms: 0.0

extended XYZ file:
```
38
Lattice="-6.9001 -0.2941 -5.0509 6.0936 -5.6531 -2.0297 -3.2706 -6.0856 3.2716" Properties=species:S:1:pos:R:3 pbc="T T T"
Li -3.0550 -2.6803 -2.0366
Li -1.0221 -9.3524 -1.7724
Li -3.3455 -4.6769 -4.3286
Li -0.7315 -7.3558 0.5197
Co -7.6866 -5.5455 -2.2097
Co 3.6095 -6.4872 -1.5993
P -5.6079 -7.9718 -1.9051
P -0.3314 -6.5729 -5.3338
P -0.2491 -3.1847 0.3218
P -3.7456 -5.4599 1.5248
P 1.5309 -4.0610 -1.9039
P -3.8280 -8.8480 -4.1308
P 0.5416 -6.7908 -2.4913
P -4.6186 -5.2419 -1.3177
O 2.2188 -9.6308 0.0934
O -2.4470 -9.3631 -3.8039
O -1.6301 -2.6696 -0.0050
O -2.3991 -6.0696 1.8322
O -0.0814 -4.5316 0.9600
O -5.0019 -6.2195 1.8320
O 0.5811 -3.1050 -1.0579
O -3.6939 -5.0591 -0.0359
O 2.6097 -4.6769 -1.0370
O -6.0467 -4.8239 -1.0337
O -3.8715 -4.5706 -2.4279
O 0.4687 -5.1918 -2.3295
O -6.2959 -2.4019 -3.9024
O -3.9957 -7.5011 -4.7690
O -2.7379 -2.7004 -3.9859
O -1.3392 -9.3323 0.1769
O -4.5458 -6.8409 -1.4795
O -0.2056 -7.4621 -1.3811
O 1.9697 -7.2088 -2.7753
O -6.6868 -7.3558 -2.7720
O -0.3832 -6.9736 -3.7731
O -4.6581 -8.9277 -2.7511
O 0.9248 -5.8133 -5.6409
O -1.6780 -5.9631 -5.6411
```

***

Below is a geometry-optimized PrMgCr4O12 structure, with properties calculated at the PBE with a Hubbard U level.

Results
SG: Amm2

extended XYZ file:
```
18
Lattice="0.0000 -3.6759 -3.6531 0.0000 -3.6759 3.6531 -7.6582 0.0000 0.0000" Properties=species:S:1:pos:R:3 pbc="T T T"
Pr -3.8291 -3.6759 3.4305
Mg 0.0000 -3.6759 0.1600
Cr -1.8212 -1.8692 -1.8482
Cr -5.8369 -1.8692 -1.8482
Cr -5.8369 -5.4826 -1.8482
Cr -1.8212 -5.4826 -1.8482
O -1.8808 -1.4523 0.0099
O -1.8808 -5.8994 0.0099
O -5.7773 -5.8994 0.0099
O -5.7773 -1.4523 0.0099
O -2.2658 -3.6759 1.5126
O -1.3942 -3.6759 -1.3292
O -6.2640 -3.6759 -1.3292
O -5.3923 -3.6759 1.5126
O 0.0000 -5.0863 1.6109
O -3.8291 -2.2026 -1.7962
O 0.0000 -2.2655 1.6109
O -3.8291 -5.1491 -1.7962
```

***

Below is a geometry-optimized ScMn2O5 structure, with properties calculated at the PBE with a Hubbard U level.

Results
SG: Cmcm
Relative energy among the computed polymorphs, kJ/mol of atoms: 1.6

extended XYZ file:
```
16
Lattice="1.9956 -4.8822 0.0000 1.9956 4.8822 0.0000 0.0000 0.0000 9.8914" Properties=species:S:1:pos:R:3 pbc="T T T"
Sc 1.9956 -2.8947 2.4728
Sc 1.9956 2.8947 7.4185
Mn 1.9956 -3.5322 5.4982
Mn 1.9956 -3.5322 9.3389
Mn 1.9956 3.5322 0.5525
Mn 1.9956 3.5322 4.3932
O 1.9956 -4.4151 1.1383
O 1.9956 -4.4151 3.8074
O 1.9956 -1.8309 4.4086
O 1.9956 -1.8309 0.5371
O 1.9956 2.7399 2.4728
O 1.9956 4.4151 6.0840
O 1.9956 1.8309 5.4827
O 1.9956 -2.7399 7.4185
O 1.9956 4.4151 8.7531
O 1.9956 1.8309 9.3543
```

***

Below is a geometry-optimized NiBPO6 structure, with properties calculated at the PBE with a Hubbard U level.

Results
SG: P3_121

extended XYZ file:
```
54
Lattice="2.1867 -1.1325 -6.9954 -2.5548 -5.6634 4.0494 -11.9333 2.4343 -4.1243" Properties=species:S:1:pos:R:3 pbc="T T T"
Ni -10.1643 -3.2734 0.7514
Ni -2.0873 -0.1677 -7.4226
Ni -0.0499 -0.9205 -0.3990
Ni -3.9374 -3.9138 2.4011
Ni -8.2766 1.1648 -8.7722
Ni -6.0540 -0.3956 -2.7612
B -6.3105 -3.6407 -1.9178
B -2.1456 -3.2240 -0.3596
B -10.5659 -2.3107 -2.1831
B -10.1058 -0.2133 -6.3100
B -6.0608 -2.0098 -5.7111
B -1.7158 -1.6865 -4.7291
P -2.7886 -1.2166 -2.1879
P -10.4916 -2.7121 -7.5085
P -5.3524 0.1722 -7.3131
P -2.0363 -5.8295 -1.3738
P -9.3554 -0.2389 -3.6226
P -6.8801 -3.2599 0.7951
O -3.2421 -3.5267 0.5601
O -11.0105 -3.0141 -3.3861
O -6.6217 -2.2567 -2.2747
O -1.3848 -3.0807 -4.4354
O -9.0060 0.1508 -7.2030
O -5.6393 -1.3576 -4.4716
O -2.7825 -1.3877 -3.7504
O -10.8357 -1.2376 -7.0866
O -6.3038 -0.8682 -6.6182
O -1.5431 -4.5518 -0.6026
O -9.4387 -1.4922 -2.6776
O -6.0006 -3.5475 -0.4755
O -8.1895 -4.0587 0.7646
O -2.6494 -5.4644 -2.7318
O -10.4224 0.8046 -3.2672
O -9.9019 -3.5085 -6.3374
O -4.1233 -0.5120 -7.9254
O -1.6179 -0.3459 -1.7135
O -3.8124 -4.7647 -5.0022
O -10.1770 1.3748 -9.6891
O -7.9316 0.3041 -3.4547
O -2.0635 -4.6115 3.1065
O -8.7705 -4.7918 -4.3200
O -4.1493 -0.5959 -1.8513
O -7.3290 -2.6745 -5.5783
O -2.3228 -1.5267 -6.0228
O -11.0385 0.8644 -6.1195
O -9.9984 -3.1992 -1.2054
O -5.1038 -4.1110 -2.5426
O -1.1119 -2.4379 0.2578
O -4.9774 -2.8637 -6.2231
O -0.5403 -0.8319 -4.4993
O -9.5725 -0.7836 -5.0628
O -11.6488 -1.4557 -1.6719
O -7.4864 -4.4950 -2.1464
O -2.6789 -2.6550 -1.6073
```

***

So what do the calculations give for formation enthalpy at 0 K? Going down the list: -2.415; -2.148; -1.866; -1.814; -2.544; -2.042; -2.518; -1.949 eV/atom.
So what do the calculations give for energy? Going down the list: -4.52; -7.33; -6.58; -5.23; -6.86; -6.94; -7.85; -6.49 eV per atom.